Entry from the Materials Project database: crystalline TiNiSn at its relaxed geometry (meta-GGA r2SCAN). Values from VASP.

Values from the calculation:
Raw total energy, eV per cell: -51.4
ΔH_f (0 K), eV per atom: -0.5740
Space group: No. 216

Geometry as Quantum ESPRESSO input:
```
&SYSTEM
  ibrav = 0, nat = 3, ntyp = 3
/
ATOMIC_SPECIES
Ti 47.87 Ti.upf
Ni 58.69 Ni.upf
Sn 118.71 Sn.upf
CELL_PARAMETERS angstrom
-3.451 1.102 -2.079
-3.568 0.649 2.072
-1.520 3.872 0.380
ATOMIC_POSITIONS crystal
Ti 0.000 0.000 0.000
Ni 0.250 0.250 0.250
Sn 0.500 0.500 0.500
```